(1)
Density functional theory data (GGA-PBE) for a relaxed structure of PuF3.

## Properties
Space group ... P6_3/mmc

Cell lengths 4.1405, 4.1405, 7.2123 Å; angles 90.00, 90.00, 120.00 degrees
Sites, in units of the cell vectors:
1 Pu 0.3333 0.6667 0.2500
2 Pu 0.6667 0.3333 0.7500
3 F 0.3333 0.6667 0.5778
4 F 0.0000 0.0000 0.2500
5 F 0.6667 0.3333 0.4222
6 F 0.0000 0.0000 0.7500
7 F 0.6667 0.3333 0.0778
8 F 0.3333 0.6667 0.9222

=====

(2)
Density functional theory data (GGA-PBE) for a relaxed structure of Rb2Hg2PdBr8.

## Properties
Space group ... C2/m

Cell lengths 7.1731, 7.1731, 10.7897 Å; angles 73.27, 73.27, 62.65 degrees
Sites, in units of the cell vectors:
1 Br 0.6338 0.1019 0.1324
2 Br 0.6528 0.6528 0.4994
3 Br 0.8981 0.3662 0.8676
4 Br 0.9165 0.9165 0.6931
5 Br 0.3472 0.3472 0.5006
6 Br 0.1019 0.6338 0.1324
7 Br 0.0835 0.0835 0.3069
8 Br 0.3662 0.8981 0.8676
9 Rb 0.6030 0.6030 0.1666
10 Rb 0.3970 0.3970 0.8334
11 Pd 0.0000 0.0000 0.0000
12 Hg 0.1324 0.1324 0.6082
13 Hg 0.8676 0.8676 0.3918

=====

(3)
Density functional theory data (GGA-PBE) for a relaxed structure of CsCoH24C14N8.

## Properties
Space group ... C2/m

Cell lengths 9.5270, 9.5270, 9.5385 Å; angles 60.58, 60.58, 60.16 degrees
Sites, in units of the cell vectors:
1 H 0.2783 0.0240 0.2342
2 H 0.7152 0.7152 0.9958
3 H 0.0049 0.2596 0.4399
4 H 0.9844 0.5447 0.7355
5 H 0.5596 0.7485 0.6958
6 H 0.7404 0.9951 0.5601
7 H 0.9951 0.7404 0.5601
8 H 0.7250 0.5364 0.9680
9 H 0.2750 0.4636 0.0320
10 H 0.9760 0.7217 0.7658
11 H 0.2515 0.4404 0.3042
12 H 0.4553 0.0156 0.2645
13 H 0.2848 0.2848 0.0042
14 H 0.7217 0.9760 0.7658
15 H 0.5364 0.7250 0.9680
16 H 0.2442 0.2442 0.4803
17 H 0.2596 0.0049 0.4399
18 H 0.0156 0.4553 0.2645
19 H 0.7558 0.7558 0.5197
20 H 0.4636 0.2750 0.0320
21 H 0.4404 0.2515 0.3042
22 H 0.0240 0.2783 0.2342
23 H 0.5447 0.9844 0.7355
24 H 0.7485 0.5596 0.6958
25 N 0.2219 0.7663 0.2316
26 N 0.2253 0.2253 0.7912
27 N 0.7781 0.2337 0.7684
28 N 0.2337 0.7781 0.7684
29 N 0.7507 0.7507 0.7462
30 N 0.2493 0.2493 0.2538
31 N 0.7747 0.7747 0.2088
32 N 0.7663 0.2219 0.2316
33 C 0.1363 0.8564 0.1428
34 C 0.8637 0.1436 0.8572
35 C 0.6844 0.9414 0.6982
36 C 0.9414 0.6844 0.6982
37 C 0.8564 0.1363 0.1428
38 C 0.6758 0.6758 0.9342
39 C 0.0586 0.3156 0.3018
40 C 0.8614 0.8614 0.1281
41 C 0.3242 0.3242 0.0658
42 C 0.3002 0.3002 0.3427
43 C 0.1436 0.8637 0.8572
44 C 0.1386 0.1386 0.8719
45 C 0.6998 0.6998 0.6573
46 C 0.3156 0.0586 0.3018
47 Co 0.0000 0.0000 0.0000
48 Cs 0.5000 0.5000 0.5000

=====

(4)
Density functional theory data (GGA-PBE) for a relaxed structure of Te4MoW3Se2S2.

## Properties
Space group ... P3m1

Cell lengths 3.3949, 3.3949, 39.8567 Å; angles 90.00, 90.00, 120.00 degrees
Sites, in units of the cell vectors:
1 Te 0.3333 0.6667 0.1399
2 Te 0.0000 0.0000 0.2352
3 Te 0.0000 0.0000 0.3298
4 Te 0.3333 0.6667 0.0459
5 W 0.3333 0.6667 0.6575
6 W 0.0000 0.0000 0.4700
7 W 0.3333 0.6667 0.2826
8 Mo 0.0000 0.0000 0.0929
9 Se 0.3333 0.6667 0.4284
10 Se 0.3333 0.6667 0.5116
11 S 0.0000 0.0000 0.6197
12 S 0.0000 0.0000 0.6953

=====

(5)
Density functional theory data (GGA-PBE) for a relaxed structure of SrCd4Pt2.

## Properties
Space group ... P4_2/mnm

Cell lengths 8.4019, 8.4019, 4.5353 Å; angles 90.00, 90.00, 90.00 degrees
Sites, in units of the cell vectors:
1 Cd 0.9086 0.6561 0.5000
2 Cd 0.0914 0.3439 0.5000
3 Cd 0.1561 0.5914 0.0000
4 Cd 0.4086 0.8439 0.0000
5 Cd 0.5914 0.1561 0.0000
6 Cd 0.8439 0.4086 0.0000
7 Cd 0.6561 0.9086 0.5000
8 Cd 0.3439 0.0914 0.5000
9 Sr 0.0000 0.0000 0.0000
10 Sr 0.5000 0.5000 0.5000
11 Pt 0.2192 0.7808 0.5000
12 Pt 0.2808 0.2808 0.0000
13 Pt 0.7192 0.7192 0.0000
14 Pt 0.7808 0.2192 0.5000

=====

(6)
Density functional theory data (GGA-PBE) for a relaxed structure of K3Bi2.

## Properties
Space group ... C2/c

Cell lengths 6.8596, 6.8596, 9.5541 Å; angles 78.88, 78.88, 92.09 degrees
Sites, in units of the cell vectors:
1 K 0.7602 0.6546 0.0208
2 K 0.2398 0.3454 0.9792
3 K 0.3454 0.2398 0.4792
4 K 0.6546 0.7602 0.5208
5 K 0.1638 0.8362 0.2500
6 K 0.8362 0.1638 0.7500
7 Bi 0.6860 0.1116 0.1533
8 Bi 0.8884 0.3140 0.3467
9 Bi 0.1116 0.6860 0.6533
10 Bi 0.3140 0.8884 0.8467

=====

no.,calculated total energy (eV per atom)
1,-8.633
2,-2.466
3,-6.003
4,-6.836
5,-2.958
6,-2.553